Crystalline Cs2NaDyCl6 at its relaxed geometry. Source: the Materials Project, functional PBE-GGA.

The structure belongs to space group Fm-3m (No. 225); the cell edges are 10.915, 10.915 and 10.915 Å and the angles 90.00°, 90.00° and 90.00°. The asymmetric unit holds Cs at (0.250, 0.250, 0.250), Na at (0.000, 0.000, 0.000), Dy at (0.000, 0.000, 0.500) and Cl at (0.000, 0.000, 0.258).

Its formation energy is -2503 meV per atom. The value obtained for the energy with MP2020 corrections is -175.36 eV/cell. The total DFT energy (no corrections) is -40.15 eV per formula unit. The total magnetic moment comes out at 0.00 μB per cell. The calculated volume is 32.51 Å³ per atom.